A plane-wave DFT calculation with PBE-GGA was carried out for an optimized crystal structure of Li3BiF6.

Values from the calculation:
Total energy after the MP2020 corrections = -0.3662 Ry per atom
Magnetic moment = 0.0 μB per formula unit
Space group = P-1, No. 2
ρ = 3.953 g cm⁻³

Unit cell a=4.908 b=5.394 c=5.869 alpha=76.96 beta=72.87 gamma=83.10
Fractional positions:
Li 0.000 0.000 0.000
Li 0.000 0.500 0.000
Li 0.500 0.000 0.000
Bi 0.500 0.000 0.500
F 0.185 0.030 0.271
F 0.274 0.257 0.776
F 0.292 0.749 0.878
F 0.708 0.251 0.122
F 0.726 0.743 0.224
F 0.815 0.970 0.729